{
  "formula": "U2CoP2O22",
  "functional": "GGA+U",
  "state": "optimized geometry",
  "volume_a3_per_atom": 16.55,
  "delta_e_f_ev_per_atom": -1.358,
  "total_magnetization_mub_per_fu": 15.0,
  "sg": "No. 14",
  "lattice_angstrom": [[-4.739, 8.029, 15.696], [-5.707, -4.001, 0.324], [-2.006, -8.780, 3.886]],
  "species": ["O", "O", "O", "O", "O", "O", "O", "O", "O", "O", "O", "O", "O", "O", "O", "O", "O", "O", "O", "O", "O", "O", "O", "O", "O", "O", "O", "O", "O", "O", "O", "O", "O", "O", "O", "O", "O", "O", "O", "O", "O", "O", "O", "O", "U", "U", "U", "U", "P", "P", "P", "P", "Co", "Co"],
  "fractional_positions": [[0.570, 0.818, 0.483], [0.703, 0.137, 0.020], [0.431, 0.781, 0.173], [0.902, 0.431, 0.550], [0.070, 0.182, 0.017], [0.447, 0.246, 0.793], [0.204, 0.567, 0.951], [0.992, 0.895, 0.378], [0.200, 0.219, 0.772], [0.298, 0.273, 0.923], [0.930, 0.818, 0.983], [0.402, 0.569, 0.950], [0.198, 0.924, 0.127], [0.797, 0.137, 0.520], [0.069, 0.781, 0.673], [0.702, 0.727, 0.077], [0.203, 0.863, 0.480], [0.704, 0.433, 0.549], [0.296, 0.567, 0.451], [0.430, 0.182, 0.517], [0.302, 0.924, 0.627], [0.698, 0.076, 0.373], [0.049, 0.963, 0.958], [0.508, 0.895, 0.878], [0.796, 0.433, 0.049], [0.947, 0.754, 0.707], [0.202, 0.273, 0.423], [0.300, 0.219, 0.272], [0.008, 0.105, 0.622], [0.700, 0.781, 0.728], [0.098, 0.569, 0.450], [0.798, 0.727, 0.577], [0.053, 0.246, 0.293], [0.951, 0.037, 0.042], [0.569, 0.219, 0.827], [0.451, 0.963, 0.458], [0.931, 0.219, 0.327], [0.297, 0.863, 0.980], [0.802, 0.076, 0.873], [0.492, 0.105, 0.122], [0.553, 0.754, 0.207], [0.549, 0.037, 0.542], [0.598, 0.431, 0.050], [0.800, 0.781, 0.228], [0.197, 0.567, 0.452], [0.697, 0.433, 0.048], [0.303, 0.567, 0.952], [0.803, 0.433, 0.548], [0.248, 0.069, 0.950], [0.752, 0.931, 0.050], [0.748, 0.931, 0.550], [0.252, 0.069, 0.450], [0.500, 0.000, 0.000], [0.000, 0.000, 0.500]]
}



{
  "formula": "V2CoP3O12",
  "functional": "GGA+U",
  "state": "optimized geometry",
  "volume_a3_per_atom": 12.37,
  "delta_e_f_ev_per_atom": -2.374,
  "total_magnetization_mub_per_fu": 0.3,
  "sg": "No. 167",
  "lattice_angstrom": [[3.371, 7.653, -1.744], [-4.964, 6.150, -3.241], [-2.082, 6.722, 4.842]],
  "species": ["V", "V", "V", "V", "O", "O", "O", "O", "O", "O", "O", "O", "O", "O", "O", "O", "O", "O", "O", "O", "O", "O", "O", "O", "O", "O", "O", "O", "Co", "Co", "P", "P", "P", "P", "P", "P"],
  "fractional_positions": [[0.357, 0.357, 0.357], [0.643, 0.643, 0.643], [0.857, 0.857, 0.857], [0.143, 0.143, 0.143], [0.005, 0.617, 0.811], [0.261, 0.913, 0.058], [0.587, 0.239, 0.442], [0.495, 0.689, 0.883], [0.995, 0.383, 0.189], [0.761, 0.558, 0.413], [0.442, 0.587, 0.239], [0.617, 0.811, 0.005], [0.087, 0.942, 0.739], [0.117, 0.505, 0.311], [0.558, 0.413, 0.761], [0.811, 0.005, 0.617], [0.239, 0.442, 0.587], [0.689, 0.883, 0.495], [0.383, 0.189, 0.995], [0.505, 0.311, 0.117], [0.942, 0.739, 0.087], [0.189, 0.995, 0.383], [0.058, 0.261, 0.913], [0.739, 0.087, 0.942], [0.413, 0.761, 0.558], [0.311, 0.117, 0.505], [0.883, 0.495, 0.689], [0.913, 0.058, 0.261], [0.500, 0.500, 0.500], [0.000, 0.000, 0.000], [0.543, 0.250, 0.957], [0.957, 0.543, 0.250], [0.457, 0.750, 0.043], [0.043, 0.457, 0.750], [0.750, 0.043, 0.457], [0.250, 0.957, 0.543]]
}



{
  "formula": "V3Co2P6WO24",
  "functional": "GGA+U",
  "state": "optimized geometry",
  "volume_a3_per_atom": 12.88,
  "delta_e_f_ev_per_atom": -2.424,
  "total_magnetization_mub_per_fu": 11.2,
  "sg": "No. 146",
  "lattice_angstrom": [[2.099, 8.341, 1.072], [-5.325, 5.238, 4.398], [2.313, 2.872, 7.844]],
  "species": ["O", "O", "O", "O", "O", "O", "O", "O", "O", "O", "O", "O", "O", "O", "O", "O", "O", "O", "O", "O", "O", "O", "O", "O", "P", "P", "P", "P", "P", "P", "V", "V", "V", "W", "Co", "Co"],
  "fractional_positions": [[0.735, 0.942, 0.086], [0.808, 0.619, 0.005], [0.086, 0.735, 0.942], [0.267, 0.062, 0.913], [0.503, 0.117, 0.309], [0.190, 0.383, 0.996], [0.942, 0.086, 0.735], [0.913, 0.267, 0.062], [0.441, 0.237, 0.587], [0.237, 0.587, 0.441], [0.587, 0.441, 0.237], [0.062, 0.913, 0.267], [0.383, 0.996, 0.190], [0.005, 0.808, 0.619], [0.694, 0.493, 0.882], [0.493, 0.882, 0.694], [0.555, 0.764, 0.413], [0.996, 0.190, 0.383], [0.882, 0.694, 0.493], [0.619, 0.005, 0.808], [0.413, 0.555, 0.764], [0.117, 0.309, 0.503], [0.764, 0.413, 0.555], [0.309, 0.503, 0.117], [0.956, 0.252, 0.546], [0.745, 0.464, 0.042], [0.546, 0.956, 0.252], [0.042, 0.745, 0.464], [0.252, 0.546, 0.956], [0.464, 0.042, 0.745], [0.857, 0.857, 0.857], [0.642, 0.642, 0.642], [0.358, 0.358, 0.358], [0.142, 0.142, 0.142], [0.995, 0.995, 0.995], [0.500, 0.500, 0.500]]
}



{
  "formula": "ZnCo2P4O14",
  "functional": "GGA+U",
  "state": "optimized geometry",
  "volume_a3_per_atom": 11.46,
  "delta_e_f_ev_per_atom": -2.148,
  "total_magnetization_mub_per_fu": 4.9,
  "sg": "No. 7",
  "lattice_angstrom": [[-1.495, 4.752, 6.651], [3.497, -4.566, 4.048], [8.874, 1.666, 0.805]],
  "species": ["Co", "Co", "Co", "Co", "O", "O", "O", "O", "O", "O", "O", "O", "O", "O", "O", "O", "O", "O", "O", "O", "O", "O", "O", "O", "O", "O", "O", "O", "O", "O", "O", "O", "P", "P", "P", "P", "P", "P", "P", "P", "Zn", "Zn"],
  "fractional_positions": [[0.324, 0.247, 0.372], [0.676, 0.247, 0.872], [0.158, 0.778, 0.611], [0.842, 0.778, 0.111], [0.493, 0.373, 0.954], [0.636, 0.905, 0.674], [0.359, 0.560, 0.605], [0.003, 0.890, 0.701], [0.418, 0.744, 0.896], [0.983, 0.623, 0.035], [0.514, 0.117, 0.304], [0.161, 0.015, 0.381], [0.507, 0.373, 0.454], [0.148, 0.523, 0.841], [0.088, 0.258, 0.106], [0.582, 0.744, 0.396], [0.335, 0.985, 0.618], [0.364, 0.905, 0.174], [0.344, 0.465, 0.160], [0.147, 0.397, 0.414], [0.641, 0.560, 0.105], [0.853, 0.397, 0.914], [0.997, 0.890, 0.201], [0.017, 0.623, 0.535], [0.912, 0.258, 0.606], [0.866, 0.118, 0.321], [0.486, 0.117, 0.804], [0.852, 0.523, 0.341], [0.656, 0.465, 0.660], [0.839, 0.015, 0.881], [0.134, 0.118, 0.821], [0.665, 0.985, 0.118], [0.018, 0.063, 0.259], [0.482, 0.945, 0.737], [0.982, 0.063, 0.759], [0.518, 0.945, 0.237], [0.992, 0.462, 0.466], [0.008, 0.462, 0.966], [0.519, 0.532, 0.533], [0.481, 0.532, 0.033], [0.304, 0.301, 0.831], [0.696, 0.301, 0.331]]
}



{
  "formula": "ZnCoPO5",
  "functional": "GGA+U",
  "state": "optimized geometry",
  "volume_a3_per_atom": 11.24,
  "relative_energy_kj_per_mol_fu": 8,
  "delta_e_f_ev_per_atom": -1.992,
  "total_magnetization_mub_per_fu": 4.0,
  "sg": "No. 1",
  "lattice_angstrom": [[-4.896, -0.929, -1.853], [2.813, -1.235, -4.431], [1.269, -5.128, 4.561]],
  "species": ["Zn", "Zn", "O", "O", "O", "O", "O", "O", "O", "O", "O", "O", "Co", "Co", "P", "P"],
  "fractional_positions": [[0.701, 0.837, 0.271], [0.319, 0.164, 0.772], [0.139, 0.168, 0.385], [0.367, 0.786, 0.622], [0.638, 0.208, 0.409], [0.915, 0.583, 0.265], [0.694, 0.657, 0.901], [0.093, 0.406, 0.762], [0.313, 0.326, 0.122], [0.709, 0.138, 0.905], [0.862, 0.820, 0.637], [0.303, 0.849, 0.126], [0.004, 0.495, 0.015], [0.005, 0.495, 0.515], [0.665, 0.842, 0.766], [0.341, 0.145, 0.261]]
}



{
  "formula": "ZnCo3P4O14",
  "functional": "GGA+U",
  "state": "optimized geometry",
  "volume_a3_per_atom": 11.09,
  "delta_e_f_ev_per_atom": -2.236,
  "total_magnetization_mub_per_fu": 9.0,
  "sg": "No. 14",
  "lattice_angstrom": [[7.575, 0.000, 0.000], [0.000, 7.233, 0.000], [0.000, 3.497, 8.909]],
  "species": ["Co", "Co", "Co", "Co", "Co", "Co", "P", "P", "P", "P", "P", "P", "P", "P", "O", "O", "O", "O", "O", "O", "O", "O", "O", "O", "O", "O", "O", "O", "O", "O", "O", "O", "O", "O", "O", "O", "O", "O", "O", "O", "O", "O", "Zn", "Zn"],
  "fractional_positions": [[0.132, 0.814, 0.519], [0.868, 0.186, 0.481], [0.632, 0.186, 0.981], [0.368, 0.814, 0.019], [0.500, 0.000, 0.500], [0.000, 0.000, 0.000], [0.928, 0.417, 0.705], [0.292, 0.135, 0.188], [0.072, 0.583, 0.295], [0.708, 0.865, 0.812], [0.792, 0.865, 0.312], [0.428, 0.583, 0.795], [0.572, 0.417, 0.205], [0.208, 0.135, 0.688], [0.913, 0.968, 0.390], [0.116, 0.196, 0.102], [0.384, 0.196, 0.602], [0.383, 0.340, 0.172], [0.286, 0.020, 0.359], [0.786, 0.980, 0.141], [0.969, 0.631, 0.682], [0.413, 0.032, 0.110], [0.887, 0.297, 0.875], [0.293, 0.624, 0.900], [0.707, 0.376, 0.100], [0.469, 0.369, 0.818], [0.587, 0.968, 0.890], [0.387, 0.703, 0.625], [0.531, 0.631, 0.182], [0.714, 0.980, 0.641], [0.884, 0.804, 0.898], [0.616, 0.804, 0.398], [0.087, 0.032, 0.610], [0.031, 0.369, 0.318], [0.883, 0.660, 0.328], [0.214, 0.020, 0.859], [0.113, 0.703, 0.125], [0.617, 0.660, 0.828], [0.207, 0.624, 0.400], [0.793, 0.376, 0.600], [0.117, 0.340, 0.672], [0.613, 0.297, 0.375], [0.000, 0.500, 0.000], [0.500, 0.500, 0.500]]
}



{
  "formula": "ZnCo2P2O10",
  "functional": "GGA+U",
  "state": "optimized geometry",
  "volume_a3_per_atom": 10.62,
  "delta_e_f_ev_per_atom": -1.810,
  "total_magnetization_mub_per_fu": 6.0,
  "sg": "No. 70",
  "lattice_angstrom": [[-6.902, 6.584, 2.969], [-5.337, 6.571, -3.299], [-5.904, -2.288, 1.283]],
  "species": ["O", "O", "O", "O", "O", "O", "O", "O", "O", "O", "O", "O", "O", "O", "O", "O", "O", "O", "O", "O", "Zn", "Zn", "Co", "Co", "Co", "Co", "P", "P", "P", "P"],
  "fractional_positions": [[0.964, 0.338, 0.009], [0.342, 0.181, 0.887], [0.887, 0.589, 0.342], [0.589, 0.887, 0.181], [0.241, 0.561, 0.286], [0.181, 0.342, 0.589], [0.069, 0.908, 0.661], [0.834, 0.834, 0.666], [0.908, 0.069, 0.363], [0.584, 0.584, 0.416], [0.416, 0.416, 0.584], [0.666, 0.666, 0.834], [0.661, 0.363, 0.069], [0.363, 0.661, 0.908], [0.286, 0.912, 0.241], [0.561, 0.241, 0.912], [0.689, 0.009, 0.338], [0.338, 0.964, 0.689], [0.009, 0.689, 0.964], [0.912, 0.286, 0.561], [0.250, 0.250, 0.250], [0.000, 0.000, 0.000], [0.625, 0.125, 0.625], [0.625, 0.625, 0.125], [0.625, 0.625, 0.625], [0.125, 0.625, 0.625], [0.458, 0.458, 0.042], [0.042, 0.042, 0.458], [0.792, 0.792, 0.208], [0.208, 0.208, 0.792]]
}



{
  "formula": "ZnCoPO5",
  "functional": "GGA+U",
  "state": "optimized geometry",
  "volume_a3_per_atom": 11.42,
  "relative_energy_kj_per_mol_fu": 0,
  "delta_e_f_ev_per_atom": -2.002,
  "total_magnetization_mub_per_fu": 4.0,
  "sg": "No. 1",
  "lattice_angstrom": [[-1.992, 2.562, -4.447], [-6.491, -2.425, -0.976], [-2.470, 7.356, -2.240]],
  "species": ["O", "O", "O", "O", "O", "O", "O", "O", "O", "O", "Zn", "Zn", "P", "P", "Co", "Co"],
  "fractional_positions": [[0.514, 0.234, 0.907], [0.852, 0.134, 0.321], [0.290, 0.610, 0.862], [0.485, 0.737, 0.082], [0.149, 0.836, 0.669], [0.704, 0.363, 0.134], [0.141, 0.368, 0.627], [0.858, 0.600, 0.366], [0.520, 0.051, 0.237], [0.481, 0.920, 0.752], [0.620, 0.732, 0.248], [0.374, 0.239, 0.745], [0.552, 0.228, 0.325], [0.447, 0.742, 0.666], [0.498, 0.486, 0.996], [0.500, 0.986, 0.995]]
}



| no. | corrected total energy (MP2020 scheme) (eV/atom) | E (eV per cell) |
| --- | --- | --- |
| 1 | -6.891 | -338.6 |
| 2 | -7.979 | -260.7 |
| 3 | -8.136 | -263.6 |
| 4 | -7.214 | -277.2 |
| 5 | -6.807 | -98.8 |
| 6 | -7.396 | -296.3 |
| 7 | -6.862 | -185.6 |
| 8 | -6.817 | -98.9 |